Compound: Cs2VCl5O4
Source: the Materials Project
Functional: PBE with a Hubbard U
Structure: relaxed

The space group is C2/m (No. 12) and the conventional cell measures 17.234, 5.685 and 6.990 Å, with angles of 90.00, 107.31 and 90.00 degrees. The inequivalent atoms are Cs at (0.200, 0.000, 0.227), V at (0.000, 0.500, 0.500), Cl at (0.000, 0.000, 0.000), Cl at (0.109, 0.500, 0.360), Cl at (0.173, 0.000, 0.716) and O at (0.051, 0.288, 0.697).

The formation enthalpy at 0 K is -785 meV per atom. The density is 2.83 g cm⁻³.